Entry 1:
LaZnSn after structural relaxation, computed with PBE.

Values from the calculation:
ΔH_f (0 K) ... -0.6744 eV per atom
Symmetry ... P6_3/mmc

a b c (Å): 4.628 4.628 17.179
angles (deg): 90.00 90.00 120.00
Fractional coordinates of all 12 atoms:
La 0.000 0.000 0.000
La 0.000 0.000 0.250
La 0.000 0.000 0.500
La 0.000 0.000 0.750
Zn 0.333 0.667 0.155
Zn 0.333 0.667 0.345
Zn 0.667 0.333 0.655
Zn 0.667 0.333 0.845
Sn 0.333 0.667 0.616
Sn 0.333 0.667 0.884
Sn 0.667 0.333 0.116
Sn 0.667 0.333 0.384



Entry 2:
SrLa3 after structural relaxation, computed with PBE.

Values from the calculation:
ΔH_f (0 K) ... 0.1457 eV per atom
Symmetry ... P6_3/mmc

a b c (Å): 7.816 7.816 6.188
angles (deg): 90.00 90.00 120.00
Fractional coordinates of all 8 atoms:
Sr 0.333 0.667 0.250
Sr 0.667 0.333 0.750
La 0.160 0.321 0.750
La 0.160 0.840 0.750
La 0.321 0.160 0.250
La 0.679 0.840 0.750
La 0.840 0.160 0.250
La 0.840 0.679 0.250



Entry 3:
SrLa3 after structural relaxation, computed with PBE.

Values from the calculation:
ΔH_f (0 K) ... 0.1390 eV per atom
Symmetry ... I4/mmm

a b c (Å): 5.435 5.435 10.924
angles (deg): 90.00 90.00 90.00
Fractional coordinates of all 8 atoms:
Sr 0.000 0.000 0.000
Sr 0.500 0.500 0.500
La 0.000 0.000 0.500
La 0.000 0.500 0.250
La 0.000 0.500 0.750
La 0.500 0.000 0.250
La 0.500 0.000 0.750
La 0.500 0.500 0.000